Record 1
La2MgZnCoO6 | PBE+U | optimized geometry

Results
ΔH_f (0 K) = -261 kJ per mole of atoms

Cell: 5.5048 5.8013 5.8348 Å, 62.44 79.12 62.77°
Fractional coordinates of all 11 atoms:
1 La 0.0000 0.0000 0.0000
2 La 0.2840 0.5555 0.6528
3 Mg 0.4351 0.1842 0.2849
4 Zn 0.8224 0.3802 0.3652
5 Co 0.6485 0.7827 0.8195
6 O 0.0024 0.5405 0.0392
7 O 0.2945 0.9856 0.6238
8 O 0.4148 0.5604 0.2396
9 O 0.5193 0.0821 0.9836
10 O 0.7790 0.4670 0.6674
11 O 0.8452 0.9976 0.4206


Record 2
Sr8Mn6Cu4Se4O15 | PBE+U | optimized geometry

Results
ΔH_f (0 K) = -204 kJ per mole of atoms

Cell: 17.9614 17.9614 5.6267 Å, 90.08 90.08 161.98°
Fractional coordinates of all 37 atoms:
1 Sr 0.0857 0.4074 0.2534
2 Sr 0.1874 0.2984 0.2570
3 Sr 0.2984 0.1874 0.2570
4 Sr 0.4074 0.0857 0.2534
5 Sr 0.5926 0.9143 0.7466
6 Sr 0.7016 0.8126 0.7430
7 Sr 0.8126 0.7016 0.7430
8 Sr 0.9143 0.5926 0.7466
9 Mn 0.1446 0.3650 0.7548
10 Mn 0.2444 0.2444 0.7444
11 Mn 0.3650 0.1446 0.7548
12 Mn 0.6350 0.8554 0.2452
13 Mn 0.7556 0.7556 0.2556
14 Mn 0.8554 0.6350 0.2452
15 Cu 0.2499 0.7501 0.0000
16 Cu 0.2501 0.7499 0.5000
17 Cu 0.7501 0.2499 0.0000
18 Cu 0.7499 0.2501 0.5000
19 Se 0.0423 0.4569 0.7499
20 Se 0.4569 0.0423 0.7499
21 Se 0.5431 0.9577 0.2501
22 Se 0.9577 0.5431 0.2501
23 O 0.0000 0.0000 0.0000
24 O 0.0000 0.0000 0.5000
25 O 0.1124 0.8876 0.5000
26 O 0.1177 0.8823 0.0000
27 O 0.2358 0.3418 0.7889
28 O 0.3418 0.2358 0.7889
29 O 0.3779 0.6221 0.0000
30 O 0.3823 0.6177 0.5000
31 O 0.5000 0.5000 0.5000
32 O 0.6177 0.3823 0.5000
33 O 0.6221 0.3779 0.0000
34 O 0.6582 0.7642 0.2111
35 O 0.7642 0.6582 0.2111
36 O 0.8823 0.1177 0.0000
37 O 0.8876 0.1124 0.5000


Record 3
Li6V3P8O29 | PBE+U | optimized geometry

Results
ΔH_f (0 K) = -256 kJ per mole of atoms
ΔE to the lowest computed polymorph = 7.3 meV/atom

Cell: 9.7617 9.7964 13.9442 Å, 89.90 89.88 60.37°
Fractional coordinates of all 92 atoms:
1 Li 0.0000 0.0000 0.0000
2 Li 0.0015 0.4371 0.5028
3 Li 0.0890 0.2454 0.1217
4 Li 0.4275 0.9988 0.4485
5 Li 0.4316 0.4355 0.0028
6 Li 0.4359 0.9985 0.9490
7 Li 0.5274 0.6649 0.1261
8 Li 0.5323 0.2461 0.6221
9 Li 0.6774 0.6632 0.6265
10 Li 0.7614 0.3350 0.5611
11 Li 0.7691 0.3392 0.0607
12 Li 0.8678 0.9980 0.4998
13 V 0.1989 0.3370 0.3075
14 V 0.2033 0.8999 0.8042
15 V 0.3263 0.7698 0.3181
16 V 0.3303 0.3364 0.8087
17 V 0.7654 0.9034 0.3046
18 V 0.7730 0.7702 0.8179
19 P 0.0718 0.1174 0.4021
20 P 0.0787 0.2428 0.9050
21 P 0.0914 0.6711 0.4326
22 P 0.1055 0.6701 0.9324
23 P 0.4285 0.0011 0.1909
24 P 0.4397 0.9985 0.6907
25 P 0.4577 0.4214 0.2199
26 P 0.4618 0.5583 0.7198
27 P 0.5388 0.6530 0.9069
28 P 0.5429 0.2424 0.4045
29 P 0.6767 0.1178 0.9013
30 P 0.6774 0.6528 0.4070
31 P 0.8469 0.5583 0.2200
32 P 0.8503 0.0244 0.7157
33 P 0.9888 0.4222 0.7203
34 P 0.9956 0.0213 0.2164
35 O 0.0168 0.9984 0.7223
36 O 0.0183 0.4165 0.2201
37 O 0.0868 0.6735 0.5392
38 O 0.0916 0.5229 0.3909
39 O 0.1007 0.0758 0.9005
40 O 0.1028 0.2591 0.4016
41 O 0.1042 0.6833 0.0387
42 O 0.1037 0.8174 0.8846
43 O 0.1489 0.4198 0.7362
44 O 0.1491 0.8670 0.2296
45 O 0.2361 0.9668 0.3962
46 O 0.2414 0.6725 0.3882
47 O 0.2433 0.2290 0.8912
48 O 0.2538 0.5200 0.8943
49 O 0.2709 0.1493 0.2260
50 O 0.2890 0.0048 0.7352
51 O 0.2997 0.4194 0.2353
52 O 0.3060 0.7144 0.7240
53 O 0.3892 0.8156 0.8931
54 O 0.3924 0.2285 0.3914
55 O 0.4270 0.9938 0.0833
56 O 0.4281 0.5903 0.2261
57 O 0.4313 0.4166 0.7208
58 O 0.4330 0.8504 0.2345
59 O 0.4421 0.9945 0.5830
60 O 0.4447 0.1480 0.7267
61 O 0.5042 0.2580 0.9024
62 O 0.5090 0.6812 0.4051
63 O 0.5349 0.5685 0.9971
64 O 0.5382 0.3458 0.1280
65 O 0.5488 0.3230 0.4942
66 O 0.5531 0.5395 0.8202
67 O 0.5620 0.3314 0.3121
68 O 0.5683 0.0122 0.2345
69 O 0.5733 0.5394 0.6401
70 O 0.5838 0.8476 0.7324
71 O 0.6632 0.9662 0.8949
72 O 0.6684 0.8145 0.3912
73 O 0.6817 0.6777 0.9034
74 O 0.6883 0.0746 0.4001
75 O 0.7485 0.1397 0.8026
76 O 0.7547 0.5405 0.1401
77 O 0.7655 0.5697 0.4972
78 O 0.7668 0.1104 0.6249
79 O 0.7718 0.1274 0.9822
80 O 0.7736 0.5382 0.3201
81 O 0.8461 0.7145 0.2273
82 O 0.8469 0.8705 0.7304
83 O 0.8509 0.5912 0.7258
84 O 0.8522 0.9952 0.2237
85 O 0.9490 0.8236 0.3900
86 O 0.9559 0.6706 0.8890
87 O 0.9664 0.1286 0.4831
88 O 0.9723 0.3329 0.8123
89 O 0.9779 0.1364 0.3037
90 O 0.9849 0.3461 0.6282
91 O 0.9880 0.1094 0.1256
92 O 0.9928 0.3248 0.9948


Record 4
BaDyFe4O7 | PBE+U | optimized geometry

Results
ΔH_f (0 K) = -215 kJ per mole of atoms
ΔE to the lowest computed polymorph = 0.0 meV/atom

Cell: 6.2947 9.3784 6.4487 Å, 90.00 91.52 90.00°
Fractional coordinates of all 26 atoms:
1 Ba 0.2384 0.0000 0.2290
2 Ba 0.7616 0.5000 0.7710
3 Dy 0.2544 0.2504 0.7507
4 Dy 0.7456 0.7504 0.2493
5 Fe 0.0052 0.8669 0.7678
6 Fe 0.2303 0.6209 0.5081
7 Fe 0.2720 0.6236 0.0017
8 Fe 0.4810 0.8559 0.7184
9 Fe 0.5190 0.3559 0.2816
10 Fe 0.7280 0.1236 0.9983
11 Fe 0.7697 0.1209 0.4919
12 Fe 0.9948 0.3669 0.2322
13 O 0.0314 0.7719 0.0333
14 O 0.0507 0.2292 0.4486
15 O 0.2281 0.4898 0.7516
16 O 0.2369 0.9989 0.7630
17 O 0.2452 0.4888 0.2494
18 O 0.4414 0.7761 0.4368
19 O 0.4594 0.2252 0.0444
20 O 0.5406 0.7252 0.9556
21 O 0.5586 0.2761 0.5632
22 O 0.7548 0.9888 0.7506
23 O 0.7631 0.4989 0.2370
24 O 0.7719 0.9898 0.2484
25 O 0.9493 0.7292 0.5514
26 O 0.9686 0.2719 0.9667